[1]
The following is a DFT calculation (GGA-PBE) of BaLa2Br8 after structural relaxation.

calculated density	3.78	g cm⁻³
space-group type	P2/c, No. 13
E_form	-2425	meV per atom

a b c (Å): 7.9486 7.9588 15.9145
angles (deg): 66.88 90.00 90.00
Fractional coordinates of all 22 atoms:
1 Ba 0.1401 0.5000 0.2500
2 Ba 0.8599 0.5000 0.7500
3 La 0.7516 0.8347 0.9959
4 La 0.7516 0.1653 0.5041
5 La 0.2484 0.8347 0.4959
6 La 0.2484 0.1653 0.0041
7 Br 0.3364 0.2650 0.1491
8 Br 0.8416 0.4702 0.1171
9 Br 0.4156 0.7871 0.0871
10 Br 0.9701 0.9340 0.1263
11 Br 0.9701 0.0660 0.3737
12 Br 0.4156 0.2129 0.4129
13 Br 0.8416 0.5298 0.3829
14 Br 0.3364 0.7350 0.3509
15 Br 0.6636 0.2650 0.6491
16 Br 0.1584 0.4702 0.6171
17 Br 0.5844 0.7871 0.5871
18 Br 0.0299 0.9340 0.6263
19 Br 0.0299 0.0660 0.8737
20 Br 0.5844 0.2129 0.9129
21 Br 0.1584 0.5298 0.8829
22 Br 0.6636 0.7350 0.8509

---

[2]
The following is a DFT calculation (GGA-PBE) of Ba3LaBr9 after structural relaxation.

calculated density	4.38	g cm⁻³
space-group type	Pc, No. 7
E_form	-2527	meV per atom

a b c (Å): 7.5390 8.1009 31.5352
angles (deg): 87.94 90.00 90.00
Fractional coordinates of all 52 atoms:
1 Ba 0.9718 0.6805 0.9332
2 Ba 0.0037 0.7089 0.6919
3 Ba 0.0282 0.6805 0.4332
4 Ba 0.9963 0.7089 0.1919
5 Ba 0.9876 0.3149 0.5700
6 Ba 0.9843 0.2826 0.8084
7 Ba 0.0124 0.3149 0.0700
8 Ba 0.0157 0.2826 0.3084
9 Ba 0.5249 0.2173 0.6920
10 Ba 0.5161 0.1807 0.9309
11 Ba 0.4751 0.2173 0.1920
12 Ba 0.4839 0.1807 0.4309
13 La 0.5197 0.7961 0.8067
14 La 0.5449 0.8205 0.5670
15 La 0.4803 0.7961 0.3067
16 La 0.4551 0.8205 0.0670
17 Br 0.7951 0.9773 0.8682
18 Br 0.8136 0.9832 0.7528
19 Br 0.8090 0.9925 0.6273
20 Br 0.2049 0.9773 0.3682
21 Br 0.1864 0.9832 0.2528
22 Br 0.7023 0.8907 0.9941
23 Br 0.1910 0.9925 0.1273
24 Br 0.3342 0.8470 0.8916
25 Br 0.2977 0.8907 0.4941
26 Br 0.4012 0.8408 0.7083
27 Br 0.6658 0.8470 0.3916
28 Br 0.5988 0.8408 0.2083
29 Br 0.1628 0.6472 0.7960
30 Br 0.2125 0.6507 0.5993
31 Br 0.8372 0.6472 0.2960
32 Br 0.7875 0.6507 0.0993
33 Br 0.7426 0.5885 0.5116
34 Br 0.6778 0.5099 0.8665
35 Br 0.6910 0.5154 0.7524
36 Br 0.6974 0.5281 0.6276
37 Br 0.2574 0.5885 0.0116
38 Br 0.3222 0.5099 0.3665
39 Br 0.3090 0.5154 0.2524
40 Br 0.3026 0.5281 0.1276
41 Br 0.7629 0.3992 0.9901
42 Br 0.2371 0.3992 0.4901
43 Br 0.1493 0.3436 0.9008
44 Br 0.1084 0.3224 0.6986
45 Br 0.8507 0.3436 0.4008
46 Br 0.8916 0.3224 0.1986
47 Br 0.3952 0.1462 0.7976
48 Br 0.3571 0.1221 0.5984
49 Br 0.6048 0.1462 0.2976
50 Br 0.6429 0.1221 0.0984
51 Br 0.7551 0.0630 0.5105
52 Br 0.2449 0.0630 0.0105

---

[3]
The following is a DFT calculation (GGA-PBE) of BaLa2Br8 after structural relaxation.

calculated density	4.32	g cm⁻³
space-group type	I-4, No. 82
E_form	-2397	meV per atom

a b c (Å): 10.7055 10.7055 10.7055
angles (deg): 98.74 98.74 134.10
Fractional coordinates of all 22 atoms:
1 Ba 0.0000 0.0000 0.0000
2 Ba 0.7500 0.2500 0.5000
3 La 0.5833 0.2365 0.9261
4 La 0.7635 0.6896 0.3468
5 La 0.3428 0.4167 0.6532
6 La 0.3104 0.6572 0.0739
7 Br 0.2448 0.1481 0.8095
8 Br 0.6674 0.4562 0.7351
9 Br 0.2572 0.8388 0.9238
10 Br 0.1612 0.0850 0.4184
11 Br 0.5437 0.0248 0.6954
12 Br 0.9752 0.6705 0.5189
13 Br 0.0677 0.3326 0.7888
14 Br 0.5648 0.7552 0.9034
15 Br 0.8519 0.6614 0.0966
16 Br 0.5438 0.2789 0.2112
17 Br 0.1516 0.4563 0.4811
18 Br 0.3295 0.8484 0.3046
19 Br 0.6666 0.7428 0.5816
20 Br 0.9150 0.3334 0.0762
21 Br 0.7211 0.9323 0.2649
22 Br 0.3386 0.4352 0.1905

---

[4]
The following is a DFT calculation (GGA-PBE) of Ba4Br6O after structural relaxation.

calculated density	3.91	g cm⁻³
energy above the lowest structure with this stoichiometry	0.099	eV/atom
space-group type	P2_12_12_1, No. 19
E_form	-2314	meV per atom

a b c (Å): 6.3005 12.6849 22.2324
angles (deg): 90.00 90.00 90.00
Fractional coordinates of all 44 atoms:
1 Ba 0.0708 0.5226 0.6903
2 Ba 0.4707 0.7784 0.7025
3 Ba 0.4517 0.1651 0.5743
4 Ba 0.4498 0.5889 0.5454
5 Ba 0.9498 0.9111 0.4546
6 Ba 0.9517 0.3349 0.4257
7 Ba 0.9707 0.7216 0.2975
8 Ba 0.5708 0.9774 0.3097
9 Ba 0.4292 0.4774 0.1903
10 Ba 0.0293 0.2216 0.2025
11 Ba 0.0483 0.8349 0.0743
12 Ba 0.0502 0.4111 0.0454
13 Ba 0.5502 0.0889 0.9546
14 Ba 0.5483 0.6651 0.9257
15 Ba 0.5293 0.2784 0.7975
16 Ba 0.9292 0.0226 0.8097
17 Br 0.4805 0.0489 0.7030
18 Br 0.9729 0.7654 0.7522
19 Br 0.5036 0.3762 0.6499
20 Br 0.9501 0.4886 0.5441
21 Br 0.7237 0.8043 0.5735
22 Br 0.9510 0.1527 0.5369
23 Br 0.4510 0.3473 0.4631
24 Br 0.2237 0.6957 0.4265
25 Br 0.4501 0.0114 0.4559
26 Br 0.0036 0.1238 0.3501
27 Br 0.4729 0.7346 0.2478
28 Br 0.9805 0.4511 0.2970
29 Br 0.0195 0.9511 0.2030
30 Br 0.5271 0.2346 0.2522
31 Br 0.9964 0.6238 0.1499
32 Br 0.5499 0.5114 0.0441
33 Br 0.7763 0.1957 0.0735
34 Br 0.5490 0.8473 0.0369
35 Br 0.0490 0.6527 0.9631
36 Br 0.2763 0.3043 0.9265
37 Br 0.0499 0.9886 0.9559
38 Br 0.4964 0.8762 0.8501
39 Br 0.0271 0.2654 0.7478
40 Br 0.5195 0.5489 0.7970
41 O 0.3238 0.6353 0.6442
42 O 0.8238 0.8647 0.3558
43 O 0.1762 0.3647 0.1442
44 O 0.6762 0.1353 0.8558

---

[5]
The following is a DFT calculation (GGA-PBE) of Ba3Br2O2 after structural relaxation.

calculated density	4.49	g cm⁻³
energy above the lowest structure with this stoichiometry	0.000	eV/atom
space-group type	P2_1/c, No. 14
E_form	-2599	meV per atom

a b c (Å): 8.2007 7.5988 7.8982
angles (deg): 65.24 90.00 90.00
Fractional coordinates of all 14 atoms:
1 Ba 0.5000 0.0000 0.5000
2 Ba 0.0000 0.0000 0.0000
3 Ba 0.8753 0.5912 0.7765
4 Ba 0.3753 0.4088 0.7235
5 Ba 0.6247 0.5912 0.2765
6 Ba 0.1247 0.4088 0.2235
7 Br 0.3514 0.8147 0.9273
8 Br 0.1486 0.8147 0.4273
9 Br 0.8514 0.1853 0.5727
10 Br 0.6486 0.1853 0.0727
11 O 0.6100 0.6602 0.5664
12 O 0.1100 0.3398 0.9336
13 O 0.8900 0.6602 0.0664
14 O 0.3900 0.3398 0.4336

---

[6]
The following is a DFT calculation (GGA-PBE) of Ba4Br6O after structural relaxation.

calculated density	4.51	g cm⁻³
energy above the lowest structure with this stoichiometry	0.000	eV/atom
maximum piezoelectric response	0.220	C/m2
space-group type	P6_3mc, No. 186
E_form	-2413	meV per atom

a b c (Å): 10.5172 10.5172 8.0388
angles (deg): 90.00 90.00 120.00
Fractional coordinates of all 22 atoms:
1 Ba 0.1991 0.8009 0.0007
2 Ba 0.3333 0.6667 0.4190
3 Ba 0.6017 0.8009 0.0007
4 Ba 0.8009 0.1991 0.5007
5 Ba 0.3983 0.1991 0.5007
6 Ba 0.8009 0.6017 0.5007
7 Ba 0.6667 0.3333 0.9190
8 Ba 0.1991 0.3983 0.0007
9 Br 0.7152 0.8576 0.3929
10 Br 0.5308 0.4692 0.2085
11 Br 0.1424 0.2848 0.3929
12 Br 0.2848 0.1424 0.8929
13 Br 0.8576 0.7152 0.8929
14 Br 0.8576 0.1424 0.8929
15 Br 0.0616 0.5308 0.7085
16 Br 0.4692 0.9384 0.7085
17 Br 0.1424 0.8576 0.3929
18 Br 0.5308 0.0616 0.2085
19 Br 0.4692 0.5308 0.7085
20 Br 0.9384 0.4692 0.2085
21 O 0.3333 0.6667 0.1002
22 O 0.6667 0.3333 0.6002

---

[7]
The following is a DFT calculation (GGA-PBE) of BaBr2O6 after structural relaxation.

calculated density	3.80	g cm⁻³
space-group type	C2/c, No. 15
E_form	-1168	meV per atom

a b c (Å): 7.4928 7.4928 8.6896
angles (deg): 57.77 57.77 65.96
Fractional coordinates of all 18 atoms:
1 Ba 0.1484 0.8516 0.2500
2 Ba 0.8516 0.1484 0.7500
3 Br 0.3182 0.2995 0.1841
4 Br 0.6818 0.7005 0.8159
5 Br 0.2995 0.3182 0.6841
6 Br 0.7005 0.6818 0.3159
7 O 0.9114 0.8034 0.6522
8 O 0.1966 0.0886 0.8478
9 O 0.0886 0.1966 0.3478
10 O 0.7806 0.5963 0.4973
11 O 0.5658 0.2389 0.5852
12 O 0.8034 0.9114 0.1522
13 O 0.2194 0.4037 0.5027
14 O 0.4037 0.2194 0.0027
15 O 0.5963 0.7806 0.9973
16 O 0.2389 0.5658 0.0852
17 O 0.4342 0.7611 0.4148
18 O 0.7611 0.4342 0.9148

---

[8]
The following is a DFT calculation (GGA-PBE) of Ba4Br6O after structural relaxation.

calculated density	4.30	g cm⁻³
energy above the lowest structure with this stoichiometry	0.086	eV/atom
space-group type	P4_2/nmc, No. 137
E_form	-2327	meV per atom

a b c (Å): 10.2192 10.2192 7.7242
angles (deg): 90.00 90.00 90.00
Fractional coordinates of all 22 atoms:
1 Ba 0.0000 0.2321 0.3364
2 Ba 0.7321 0.5000 0.8364
3 Ba 0.2679 0.5000 0.8364
4 Ba 0.0000 0.7679 0.3364
5 Ba 0.5000 0.7321 0.1636
6 Ba 0.2321 0.0000 0.6636
7 Ba 0.7679 0.0000 0.6636
8 Ba 0.5000 0.2679 0.1636
9 Br 0.7053 0.2947 0.5000
10 Br 0.2947 0.2947 0.5000
11 Br 0.0000 0.5000 0.0893
12 Br 0.0000 0.5000 0.5893
13 Br 0.2947 0.7053 0.5000
14 Br 0.7053 0.7053 0.5000
15 Br 0.7947 0.7947 0.0000
16 Br 0.2053 0.7947 0.0000
17 Br 0.5000 0.0000 0.9107
18 Br 0.5000 0.0000 0.4107
19 Br 0.7947 0.2053 0.0000
20 Br 0.2053 0.2053 0.0000
21 O 0.5000 0.5000 0.0000
22 O 0.0000 0.0000 0.5000

---

[9]
The following is a DFT calculation (GGA-PBE) of Ba3Br2O2 after structural relaxation.

calculated density	4.21	g cm⁻³
energy above the lowest structure with this stoichiometry	0.012	eV/atom
space-group type	Pnma, No. 62
E_form	-2587	meV per atom

a b c (Å): 6.3671 7.5846 19.7388
angles (deg): 90.00 90.00 90.00
Fractional coordinates of all 28 atoms:
1 Ba 0.2500 0.1528 0.0220
2 Ba 0.2500 0.6941 0.1086
3 Ba 0.7500 0.0490 0.1586
4 Ba 0.2500 0.5490 0.3414
5 Ba 0.7500 0.1941 0.3914
6 Ba 0.7500 0.6528 0.4780
7 Ba 0.2500 0.3472 0.5220
8 Ba 0.2500 0.8059 0.6086
9 Ba 0.7500 0.4510 0.6586
10 Ba 0.2500 0.9510 0.8414
11 Ba 0.7500 0.3059 0.8914
12 Ba 0.7500 0.8472 0.9780
13 Br 0.7500 0.4184 0.0593
14 Br 0.2500 0.2261 0.2270
15 Br 0.7500 0.7261 0.2730
16 Br 0.2500 0.9184 0.4407
17 Br 0.7500 0.0816 0.5593
18 Br 0.2500 0.2739 0.7270
19 Br 0.7500 0.7739 0.7730
20 Br 0.2500 0.5816 0.9407
21 O 0.4997 0.9198 0.0793
22 O 0.0003 0.9198 0.0793
23 O 0.9997 0.4198 0.4207
24 O 0.5003 0.4198 0.4207
25 O 0.4997 0.5802 0.5793
26 O 0.0003 0.5802 0.5793
27 O 0.9997 0.0802 0.9207
28 O 0.5003 0.0802 0.9207

---

[10]
The following is a DFT calculation (GGA-PBE) of Ba3Br2O2 after structural relaxation.

calculated density	4.39	g cm⁻³
energy above the lowest structure with this stoichiometry	0.010	eV/atom
space-group type	P2_1/c, No. 14
E_form	-2590	meV per atom

a b c (Å): 10.6966 12.7737 14.4215
angles (deg): 67.95 90.00 90.00
Fractional coordinates of all 56 atoms:
1 Ba 0.8190 0.0103 0.3686
2 Ba 0.4161 0.0924 0.3765
3 Ba 0.1090 0.2084 0.1401
4 Ba 0.6810 0.0103 0.8686
5 Ba 0.4748 0.3392 0.0791
6 Ba 0.0839 0.0924 0.8765
7 Ba 0.3910 0.2084 0.6401
8 Ba 0.9439 0.4235 0.2759
9 Ba 0.0252 0.3392 0.5791
10 Ba 0.1582 0.5647 0.0162
11 Ba 0.6582 0.4353 0.4838
12 Ba 0.4439 0.5765 0.2241
13 Ba 0.5561 0.4235 0.7759
14 Ba 0.3418 0.5647 0.5162
15 Ba 0.8418 0.4353 0.9838
16 Ba 0.9748 0.6608 0.4209
17 Ba 0.0561 0.5765 0.7241
18 Ba 0.6090 0.7916 0.3599
19 Ba 0.9161 0.9076 0.1235
20 Ba 0.5252 0.6608 0.9209
21 Ba 0.3190 0.9897 0.1314
22 Ba 0.8910 0.7916 0.8599
23 Ba 0.5839 0.9076 0.6235
24 Ba 0.1810 0.9897 0.6314
25 Br 0.7724 0.1514 0.1211
26 Br 0.0677 0.1524 0.3898
27 Br 0.7276 0.1514 0.6211
28 Br 0.6272 0.3205 0.2993
29 Br 0.4323 0.1524 0.8898
30 Br 0.2661 0.3824 0.4028
31 Br 0.8728 0.3205 0.7993
32 Br 0.7661 0.6176 0.0972
33 Br 0.2339 0.3824 0.9028
34 Br 0.1272 0.6795 0.2007
35 Br 0.7339 0.6176 0.5972
36 Br 0.5677 0.8476 0.1102
37 Br 0.3728 0.6795 0.7007
38 Br 0.2724 0.8486 0.3789
39 Br 0.9323 0.8476 0.6102
40 Br 0.2276 0.8486 0.8789
41 O 0.1029 0.0422 0.0712
42 O 0.3386 0.1554 0.1819
43 O 0.3971 0.0422 0.5712
44 O 0.1614 0.1554 0.6819
45 O 0.0224 0.4024 0.1181
46 O 0.3924 0.5276 0.0721
47 O 0.8924 0.4724 0.4279
48 O 0.4776 0.4024 0.6181
49 O 0.5224 0.5976 0.3819
50 O 0.1076 0.5276 0.5721
51 O 0.6076 0.4724 0.9279
52 O 0.9776 0.5976 0.8819
53 O 0.8386 0.8446 0.3181
54 O 0.6029 0.9578 0.4288
55 O 0.6614 0.8446 0.8181
56 O 0.8971 0.9578 0.9288

---

[11]
The following is a DFT calculation (GGA-PBE) of Ba3Br2O2 after structural relaxation.

calculated density	4.06	g cm⁻³
energy above the lowest structure with this stoichiometry	0.002	eV/atom
space-group type	Pnma, No. 62
E_form	-2597	meV per atom

a b c (Å): 6.4792 11.0571 13.7974
angles (deg): 90.00 90.00 90.00
Fractional coordinates of all 28 atoms:
1 Ba 0.7500 0.0713 0.0643
2 Ba 0.7500 0.1224 0.7916
3 Ba 0.2500 0.2198 0.4537
4 Ba 0.2500 0.2802 0.9537
5 Ba 0.7500 0.3776 0.2916
6 Ba 0.7500 0.4287 0.5643
7 Ba 0.2500 0.5713 0.4357
8 Ba 0.2500 0.6224 0.7084
9 Ba 0.7500 0.7198 0.0463
10 Ba 0.7500 0.7802 0.5463
11 Ba 0.2500 0.8776 0.2084
12 Ba 0.2500 0.9287 0.9357
13 Br 0.7500 0.1066 0.5431
14 Br 0.2500 0.1819 0.2047
15 Br 0.2500 0.3181 0.7047
16 Br 0.7500 0.3934 0.0431
17 Br 0.2500 0.6066 0.9569
18 Br 0.7500 0.6819 0.2953
19 Br 0.7500 0.8181 0.7953
20 Br 0.2500 0.8934 0.4569
21 O 0.0021 0.1145 0.9212
22 O 0.4979 0.1145 0.9212
23 O 0.0021 0.3855 0.4212
24 O 0.4979 0.3855 0.4212
25 O 0.9979 0.6145 0.5788
26 O 0.5021 0.6145 0.5788
27 O 0.9979 0.8855 0.0788
28 O 0.5021 0.8855 0.0788

---

[12]
The following is a DFT calculation (GGA-PBE) of Ba3Br2O2 after structural relaxation.

calculated density	4.31	g cm⁻³
energy above the lowest structure with this stoichiometry	0.005	eV/atom
space-group type	Pnma, No. 62
E_form	-2594	meV per atom

a b c (Å): 6.3754 11.0294 13.2449
angles (deg): 90.00 90.00 90.00
Fractional coordinates of all 28 atoms:
1 Ba 0.2500 0.7099 0.0506
2 Ba 0.2500 0.0606 0.0761
3 Ba 0.7500 0.8642 0.2089
4 Ba 0.2500 0.3642 0.2911
5 Ba 0.7500 0.5606 0.4239
6 Ba 0.7500 0.2099 0.4494
7 Ba 0.2500 0.7901 0.5506
8 Ba 0.2500 0.4394 0.5761
9 Ba 0.7500 0.6358 0.7089
10 Ba 0.2500 0.1358 0.7911
11 Ba 0.7500 0.9394 0.9239
12 Ba 0.7500 0.2901 0.9494
13 Br 0.7500 0.5582 0.1315
14 Br 0.7500 0.1854 0.1923
15 Br 0.2500 0.6854 0.3077
16 Br 0.2500 0.0582 0.3685
17 Br 0.7500 0.9418 0.6315
18 Br 0.7500 0.3146 0.6923
19 Br 0.2500 0.8146 0.8077
20 Br 0.2500 0.4418 0.8685
21 O 0.0004 0.8770 0.0735
22 O 0.4996 0.8770 0.0735
23 O 0.9996 0.3770 0.4265
24 O 0.5004 0.3770 0.4265
25 O 0.0004 0.6230 0.5735
26 O 0.4996 0.6230 0.5735
27 O 0.5004 0.1230 0.9265
28 O 0.9996 0.1230 0.9265